Rb2AgBr3 | Materials Project | PBE | optimized geometry; energy of formation from the pure elements = -1579 meV/atom
1.0
4.724 0.000 0.000
0.000 9.857 0.000
0.000 0.000 19.169
Rb Br Ag
8 12 4
direct
0.250 0.578 0.213
0.250 0.246 0.542
0.750 0.254 0.042
0.250 0.746 0.958
0.250 0.078 0.287
0.750 0.754 0.458
0.750 0.922 0.713
0.750 0.422 0.787
0.750 0.499 0.600
0.750 0.815 0.274
0.250 0.501 0.400
0.250 0.685 0.774
0.250 0.001 0.100
0.250 0.377 0.928
0.750 0.999 0.900
0.750 0.623 0.072
0.250 0.185 0.726
0.250 0.877 0.572
0.750 0.315 0.226
0.750 0.123 0.428
0.750 0.372 0.366
0.250 0.128 0.866
0.250 0.628 0.634
0.750 0.872 0.134

---

AlSbO3 | Materials Project | PBE | optimized geometry; energy of formation from the pure elements = -2249 meV/atom
1.0
-3.470 2.745 2.843
0.648 -3.405 4.077
6.832 5.235 3.286
Sb O Al
4 12 4
direct
0.000 0.000 0.500
0.500 0.500 0.000
0.000 0.000 0.000
0.500 0.500 0.500
0.160 0.785 0.250
0.868 0.356 0.402
0.368 0.144 0.902
0.868 0.356 0.098
0.132 0.644 0.902
0.368 0.144 0.598
0.340 0.285 0.250
0.632 0.856 0.402
0.660 0.715 0.750
0.132 0.644 0.598
0.632 0.856 0.098
0.840 0.215 0.750
0.959 0.535 0.750
0.041 0.465 0.250
0.459 0.965 0.250
0.541 0.035 0.750

---

ZrBe13 | Materials Project | PBE | optimized geometry; energy of formation from the pure elements = -198 meV/atom
1.0
0.000 4.998 4.998
4.998 0.000 4.998
4.998 4.998 0.000
Be Zr
26 2
direct
0.062 0.938 0.293
0.207 0.438 0.793
0.793 0.438 0.562
0.938 0.293 0.062
0.438 0.562 0.793
0.938 0.707 0.293
0.707 0.293 0.938
0.707 0.938 0.062
0.062 0.707 0.938
0.293 0.707 0.062
0.500 0.500 0.500
0.062 0.293 0.707
0.562 0.793 0.438
0.293 0.938 0.707
0.707 0.062 0.293
0.793 0.562 0.207
0.000 0.000 0.000
0.562 0.207 0.793
0.207 0.793 0.562
0.293 0.062 0.938
0.207 0.562 0.438
0.793 0.207 0.438
0.438 0.207 0.562
0.438 0.793 0.207
0.562 0.438 0.207
0.938 0.062 0.707
0.250 0.250 0.250
0.750 0.750 0.750

---

VN | Materials Project | PBE | optimized geometry; energy of formation from the pure elements = -1342 meV/atom
1.0
1.372 -2.376 0.000
1.372 2.376 0.000
0.000 0.000 2.651
N V
1 1
direct
0.667 0.333 0.500
0.000 0.000 0.000

---

SiAu3 | Materials Project | PBE | optimized geometry; energy of formation from the pure elements = 166 meV/atom
1.0
-3.047 3.361 -3.672
-2.618 -4.428 2.758
-1.123 2.894 3.581
Au Si
6 2
direct
0.338 0.169 0.750
0.169 0.831 0.250
0.662 0.831 0.250
0.831 0.169 0.750
0.169 0.338 0.250
0.831 0.662 0.750
0.333 0.667 0.750
0.667 0.333 0.250

---

NiMo8P3 | Materials Project | PBE | optimized geometry; energy of formation from the pure elements = -348 meV/atom
1.0
4.804 0.000 0.000
2.385 6.953 0.000
2.244 0.258 20.742
P Mo Ni
12 32 4
direct
0.946 0.202 0.405
0.666 0.788 0.402
0.335 0.782 0.069
0.840 0.216 0.600
0.000 0.786 0.736
0.228 0.802 0.258
0.886 0.812 0.923
0.620 0.197 0.077
0.172 0.217 0.935
0.277 0.202 0.740
0.520 0.215 0.264
0.556 0.809 0.589
0.522 0.086 0.839
0.770 0.515 0.967
0.189 0.086 0.504
0.385 0.496 0.772
0.441 0.513 0.633
0.035 0.151 0.284
0.237 0.311 0.169
0.049 0.688 0.165
0.816 0.141 0.718
0.654 0.505 0.228
0.721 0.495 0.106
0.483 0.143 0.382
0.581 0.495 0.366
0.154 0.137 0.053
0.357 0.154 0.622
0.109 0.509 0.301
0.583 0.308 0.502
0.681 0.860 0.281
0.009 0.859 0.616
0.804 0.849 0.049
0.690 0.155 0.957
0.918 0.495 0.699
0.253 0.490 0.031
0.720 0.684 0.831
0.340 0.859 0.950
0.387 0.683 0.498
0.138 0.853 0.380
0.049 0.497 0.438
0.984 0.505 0.562
0.913 0.309 0.836
0.314 0.506 0.895
0.472 0.852 0.714
0.787 0.894 0.495
0.844 0.094 0.170
0.442 0.903 0.163
0.122 0.893 0.828

---

Ti2ZnO4 | Materials Project | PBE | optimized geometry; offset from the most stable computed form = 0.1525 eV per atom; energy of formation from the pure elements = -2714 meV/atom
1.0
-0.123 -0.217 -2.941
-2.982 -8.955 0.786
-10.269 3.435 0.178
O Ti Zn
16 8 4
direct
0.750 0.116 0.968
0.250 0.795 0.362
0.750 0.418 0.930
0.250 0.082 0.430
0.750 0.205 0.638
0.250 0.384 0.468
0.250 0.295 0.138
0.250 0.464 0.719
0.750 0.705 0.862
0.750 0.918 0.570
0.750 0.036 0.219
0.250 0.884 0.032
0.750 0.536 0.281
0.250 0.964 0.781
0.750 0.616 0.532
0.250 0.582 0.070
0.750 0.937 0.380
0.750 0.413 0.599
0.750 0.437 0.120
0.250 0.563 0.880
0.750 0.913 0.901
0.250 0.087 0.099
0.250 0.063 0.620
0.250 0.587 0.401
0.250 0.755 0.638
0.250 0.255 0.862
0.750 0.245 0.362
0.750 0.745 0.138

---

Ba2AlSn3O8 | Materials Project | PBE | optimized geometry; energy of formation from the pure elements = -2127 meV/atom
1.0
-1.698 -3.536 -1.663
0.190 -1.886 3.816
-10.314 3.824 2.402
Sn O Al Ba
3 8 1 2
direct
0.000 0.000 0.374
0.000 0.000 0.000
0.000 0.000 0.626
0.000 0.000 0.814
0.500 0.000 0.373
0.500 0.000 0.000
0.000 0.500 0.627
0.000 0.500 0.000
0.000 0.500 0.373
0.500 0.000 0.627
0.000 0.000 0.186
0.500 0.500 0.500
0.500 0.500 0.819
0.500 0.500 0.181

---

MgTi3 | Materials Project | PBE | optimized geometry; energy of formation from the pure elements = 155 meV/atom
1.0
4.159 0.000 0.000
0.000 4.159 0.000
0.000 0.000 4.159
Ti Mg
3 1
direct
0.000 0.500 0.500
0.500 0.000 0.500
0.500 0.500 0.000
0.000 0.000 0.000

---

KPb2C2O6F | Materials Project | PBE | optimized geometry; energy of formation from the pure elements = -2017 meV/atom
1.0
2.686 -4.651 0.000
2.686 4.651 0.000
0.000 0.000 14.047
O Pb F C K
12 4 2 4 2
direct
0.140 0.280 0.606
0.140 0.860 0.606
0.140 0.280 0.894
0.860 0.720 0.106
0.860 0.140 0.394
0.280 0.140 0.106
0.860 0.140 0.106
0.720 0.860 0.606
0.140 0.860 0.894
0.280 0.140 0.394
0.720 0.860 0.894
0.860 0.720 0.394
0.333 0.667 0.418
0.667 0.333 0.918
0.333 0.667 0.082
0.667 0.333 0.582
0.333 0.667 0.250
0.667 0.333 0.750
0.000 0.000 0.606
0.000 0.000 0.106
0.000 0.000 0.394
0.000 0.000 0.894
0.333 0.667 0.750
0.667 0.333 0.250

---

EuPSe3 | Materials Project | PBE | optimized geometry; energy of formation from the pure elements = -1213 meV/atom
1.0
-2.724 -7.086 -1.881
0.860 -2.098 6.660
-8.254 0.931 8.446
P Se Eu
4 12 4
direct
0.606 0.374 0.064
0.106 0.626 0.436
0.394 0.626 0.936
0.894 0.374 0.564
0.507 0.878 0.732
0.199 0.777 0.546
0.493 0.122 0.268
0.993 0.878 0.232
0.301 0.777 0.046
0.699 0.223 0.954
0.007 0.122 0.768
0.806 0.603 0.058
0.694 0.603 0.558
0.801 0.223 0.454
0.194 0.397 0.942
0.306 0.397 0.442
0.887 0.714 0.749
0.113 0.286 0.251
0.387 0.286 0.751
0.613 0.714 0.249

---

SiNi | Materials Project | PBE | optimized geometry; energy of formation from the pure elements = -453 meV/atom
1.0
3.061 0.000 0.000
0.000 3.244 0.000
0.000 0.000 4.697
Ni Si
2 2
direct
0.000 0.000 0.342
0.500 0.500 0.658
0.000 0.000 0.843
0.500 0.500 0.157

---

Cs2PSe5 | Materials Project | PBE | optimized geometry; energy of formation from the pure elements = -941 meV/atom
1.0
-3.501 1.332 6.630
-5.345 -5.541 -1.063
5.465 -7.446 4.894
Cs Se P
4 10 2
direct
0.779 0.725 0.032
0.221 0.275 0.968
0.196 0.860 0.366
0.804 0.140 0.634
0.304 0.038 0.675
0.024 0.672 0.708
0.497 0.402 0.241
0.596 0.602 0.542
0.272 0.768 0.989
0.404 0.398 0.458
0.503 0.598 0.759
0.976 0.328 0.292
0.728 0.232 0.011
0.696 0.962 0.325
0.750 0.211 0.223
0.250 0.789 0.777

---

Na2ZnSi2O6 | Materials Project | PBE | optimized geometry; offset from the most stable computed form = 0.0076 eV per atom; energy of formation from the pure elements = -2709 meV/atom
1.0
-5.328 1.255 -1.735
1.192 -5.617 0.044
-3.536 -0.932 9.356
Si O Na Zn
4 12 4 2
direct
0.161 0.141 0.362
0.859 0.839 0.138
0.141 0.161 0.862
0.839 0.859 0.638
0.370 0.083 0.811
0.630 0.917 0.189
0.537 0.770 0.609
0.770 0.537 0.109
0.000 0.000 0.000
0.085 0.915 0.250
0.915 0.085 0.750
0.917 0.630 0.689
0.000 0.000 0.500
0.230 0.463 0.891
0.463 0.230 0.391
0.083 0.370 0.311
0.743 0.385 0.896
0.257 0.615 0.104
0.385 0.743 0.396
0.615 0.257 0.604
0.724 0.276 0.250
0.276 0.724 0.750

---

Li3BiB2O6 | Materials Project | PBE | optimized geometry; offset from the most stable computed form = 0.0751 eV per atom; energy of formation from the pure elements = -2391 meV/atom
1.0
5.231 0.000 0.000
-0.123 7.391 0.000
-0.262 -3.687 7.785
Bi O B Li
2 12 4 6
direct
0.420 0.976 0.779
0.580 0.024 0.221
0.789 0.733 0.096
0.819 0.517 0.795
0.783 0.002 0.651
0.540 0.260 0.098
0.882 0.237 0.400
0.181 0.483 0.205
0.308 0.351 0.516
0.460 0.740 0.902
0.118 0.763 0.600
0.211 0.267 0.904
0.692 0.649 0.484
0.217 0.998 0.349
0.693 0.656 0.927
0.307 0.344 0.073
0.863 0.803 0.574
0.137 0.197 0.426
0.828 0.443 0.266
0.673 0.437 0.570
0.327 0.563 0.430
0.094 0.731 0.210
0.172 0.557 0.734
0.906 0.269 0.790

---

LaGe2PdRh | Materials Project | PBE | optimized geometry; offset from the most stable computed form = 0.0204 eV per atom; energy of formation from the pure elements = -878 meV/atom
1.0
4.425 0.000 0.000
0.000 4.425 0.000
0.000 0.000 9.950
Rh Ge La Pd
2 4 2 2
direct
0.500 0.000 0.379
0.000 0.500 0.621
0.500 0.000 0.133
0.000 0.000 0.500
0.500 0.500 0.500
0.000 0.500 0.867
0.000 0.500 0.256
0.500 0.000 0.744
0.000 0.000 0.000
0.500 0.500 0.000